A plane-wave DFT calculation with PBE was carried out for Na3NbAlSi2PO12 after structural relaxation.

Properties
- total energy (eV for the cell shown) = -1721.677
- total moment (μB per cell) = 0.0

Geometry as extended XYZ:
```
240
Lattice="12.809 0.000 -8.614 0.000 26.586 0.000 -0.167 0.000 8.919" Properties=species:S:1:pos:R:3 pbc="T T T"
Nb 1.269 24.397 4.134
O 12.151 2.893 0.120
O 11.822 18.268 -2.968
Na 3.966 3.850 -0.796
O 9.535 20.598 0.069
Al 4.875 10.966 4.966
Nb 7.807 6.719 -4.626
O 7.351 23.337 -2.809
O 5.501 21.612 -3.120
Si 8.217 18.714 -3.455
Si 8.133 7.872 1.005
O 6.802 7.259 0.340
O 5.746 16.187 4.427
O 9.538 25.056 0.353
O 3.188 23.782 0.253
O 0.703 8.251 3.157
O 7.267 3.249 1.650
O 7.389 14.510 -2.807
Al 11.363 2.327 -3.801
Na 9.520 24.275 -1.851
Si 1.812 5.421 0.852
O 1.647 3.110 6.984
O 6.885 1.583 -4.126
Na 2.392 18.345 5.300
Nb 7.724 19.867 -0.167
O 9.646 14.889 -4.392
Nb 1.402 20.012 -0.319
Na 9.603 2.312 -6.311
O 6.801 25.004 0.334
O 4.521 16.397 2.097
O 0.619 18.335 7.617
O 5.840 1.538 -0.061
Si 4.507 0.857 -0.860
O 11.928 26.035 -7.429
O 5.334 5.652 -1.336
O 11.656 7.642 -1.183
Si 4.441 16.841 3.629
Na 6.326 7.850 -2.078
O 3.214 19.281 -0.084
O 3.130 7.305 4.376
O 0.901 25.370 5.959
O 1.787 5.053 5.326
Al 4.925 19.918 4.961
O 3.078 20.582 4.628
O 7.107 21.545 -1.150
Na 6.354 16.688 -2.004
O 9.621 1.530 -4.107
O 6.989 13.863 3.340
O 11.739 18.945 -5.643
O 0.584 0.570 7.647
O 11.900 9.468 -2.868
O 4.378 18.460 3.787
O 9.562 11.697 0.067
O 0.887 7.602 5.964
P 12.747 18.056 -6.415
O 1.885 3.759 0.836
O 1.896 12.649 0.861
O 1.659 20.845 6.946
O 10.783 5.166 -0.520
Si 1.744 3.367 5.315
Na 6.326 25.568 -2.032
O 3.216 14.823 0.200
Si 1.827 23.220 0.856
Na 9.697 20.044 -6.468
Si 4.438 7.960 3.605
Si 4.423 25.729 3.599
Si 10.846 3.547 -0.679
Na 12.731 12.275 -6.339
O 0.693 9.367 7.707
O 4.604 10.189 -2.362
O 5.251 20.935 3.124
O 5.830 10.400 -0.032
O 1.730 23.477 2.525
O 5.579 3.825 -3.020
Nb 1.324 11.097 -0.296
O 5.315 23.393 -1.321
O 8.206 9.534 0.988
O 0.970 18.985 1.505
P 12.663 8.531 -1.956
O 7.024 5.042 3.310
P 6.214 12.968 2.316
O 9.566 19.298 -4.138
Na 10.299 0.555 -0.546
O 9.509 16.098 0.405
Na 8.881 21.535 -3.466
O 0.451 23.738 0.198
O 8.098 25.246 2.681
O 11.718 1.230 -5.696
Na 10.371 17.143 -5.104
O 5.771 7.363 4.375
Si 4.525 9.746 -0.831
O 1.743 5.742 2.486
Si 10.828 12.436 -0.708
P 12.644 9.150 -6.379
O 10.910 12.558 -4.997
Si 1.828 14.352 0.868
P 6.239 22.444 -2.072
O 7.072 12.723 -1.119
O 3.241 1.596 -0.085
Si 8.148 16.660 1.008
Na 6.270 9.898 2.455
O 5.417 4.975 1.339
O 9.546 2.902 0.145
O 0.946 10.044 1.498
Al 4.958 15.620 0.506
O 3.161 6.005 0.169
Na 10.383 26.031 -5.006
O 11.072 14.599 -6.691
O 12.175 20.656 0.068
O 10.881 3.713 -5.003
O 0.480 14.876 0.181
O 8.290 17.053 -3.472
Na 12.675 23.191 -1.852
Na 12.647 5.443 -1.926
O 1.802 22.827 5.295
O 5.854 19.223 -0.085
O 0.863 16.542 5.957
O 8.276 8.241 -3.440
O 8.064 7.551 2.639
O 9.593 10.488 -4.054
Al 4.957 24.419 0.495
O 3.158 24.991 4.374
Na 3.199 15.605 -2.003
Na 9.534 15.485 -1.847
Na 8.797 5.051 0.993
Na 9.614 6.543 -2.009
O 7.375 5.692 -2.803
Si 10.930 23.039 -5.138
O 3.225 10.391 -0.007
O 6.856 10.445 -4.109
O 0.367 2.848 4.657
O 6.772 16.141 0.350
P 6.258 21.824 2.351
O 12.235 23.693 -4.340
O 4.477 17.006 -0.696
Si 8.232 1.059 -3.439
Al 5.009 6.668 0.501
P 6.297 13.619 -2.143
Si 8.149 25.528 1.020
O 9.629 23.684 -4.314
O 4.462 8.127 -0.672
O 0.481 6.034 0.188
Si 8.232 9.927 -3.451
O 3.133 11.763 4.660
Na 3.882 22.737 3.663
O 0.776 17.220 3.248
Na 3.129 2.192 2.460
O 4.667 1.306 -2.384
O 11.984 17.118 -7.328
Nb 1.240 15.490 4.163
O 10.989 11.987 -2.232
Al 4.873 2.168 4.955
Al 11.280 24.259 0.659
O 7.291 20.895 1.657
Si 10.842 21.253 -0.702
O 8.217 0.645 1.013
O 11.635 25.357 -1.237
O 9.618 5.988 -4.391
O 1.812 13.938 5.321
P 6.342 4.762 -2.108
P 6.156 4.143 2.387
O 7.181 3.926 -1.059
O 5.231 3.193 3.138
P 12.619 26.261 -1.991
Al 11.330 6.625 0.653
O 10.826 14.028 -0.537
Si 10.926 5.334 -5.162
Na 3.978 12.738 -0.698
O 4.393 9.580 3.763
O 0.397 20.552 4.647
Na 9.617 11.101 -6.307
Na 3.115 10.981 2.456
O 11.009 23.482 -6.669
Al 11.278 15.461 0.648
O 1.776 14.634 2.529
Na 3.895 13.848 3.761
O 12.161 11.755 0.092
Na 3.209 19.836 2.299
O 12.259 5.930 -4.392
Si 1.744 12.235 5.328
Na 10.287 9.443 -0.644
O 8.181 1.341 -1.778
Na 3.212 24.395 -2.000
O 4.482 7.593 2.026
O 11.636 16.486 -1.169
Nb 1.319 6.574 4.141
O 11.720 10.100 -5.628
Na 12.647 14.311 -1.880
O 0.984 1.217 1.500
O 5.757 25.048 4.399
Na 3.293 6.751 -2.161
Na 2.476 8.242 0.841
O 10.926 3.104 -2.210
P 12.702 0.326 -6.450
O 4.505 25.851 -0.689
O 5.495 22.762 1.439
Si 1.728 21.166 5.312
O 6.886 19.327 -4.119
O 1.871 21.534 0.867
Na 6.243 1.018 2.427
O 10.887 20.886 -2.281
O 7.306 12.076 1.652
O 3.141 16.195 4.453
O 8.192 18.346 1.019
Si 10.912 14.151 -5.167
O 4.565 18.994 -2.434
Al 11.361 11.125 -3.812
Nb 7.728 24.390 -4.604
O 0.668 26.017 3.188
Na 12.759 3.395 -6.312
O 1.693 11.952 6.988
O 0.396 11.711 4.641
O 10.970 5.700 -6.741
Nb 7.645 2.197 -0.144
O 10.867 21.420 -4.979
Na 6.242 18.736 2.381
O 4.422 0.735 3.770
O 3.105 2.805 4.712
O 9.482 7.289 0.321
O 5.230 12.063 3.070
O 8.301 25.942 -3.446
Na 12.731 21.144 -6.385
O 5.523 12.741 -3.122
O 8.135 10.184 -1.783
O 11.845 0.552 -2.969
O 11.905 8.318 -7.427
O 5.313 14.523 -1.389
O 10.798 22.873 -0.544
O 7.097 22.660 3.400
Si 4.521 18.627 -0.855
Nb 7.674 11.103 -0.173
Nb 7.758 15.483 -4.633
O 8.148 19.035 -1.821
O 12.245 14.831 -4.368
O 8.051 16.403 2.677
O 5.440 13.845 1.338
O 4.584 25.280 2.075
P 12.560 17.436 -1.920
Al 11.413 19.962 -3.806
Nb 1.353 2.190 -0.326
```